A plane-wave DFT calculation with PBE-GGA was carried out for a relaxed structure of Na2TiSi4H4O13.

Geometry as POSCAR:
```
Na2TiSi4H4O13
1.0
-8.182 -1.278 -3.095
2.763 -1.134 -6.836
1.936 -8.688 -1.530
O H Na Si Ti
26 8 4 8 2
direct
0.186 0.474 0.368
0.221 0.568 0.977
0.279 0.068 0.977
0.463 0.816 0.900
0.721 0.932 0.023
0.686 0.026 0.632
0.779 0.432 0.023
0.537 0.184 0.100
0.948 0.931 0.235
0.000 0.000 0.500
0.552 0.431 0.235
0.052 0.069 0.765
0.037 0.316 0.900
0.037 0.287 0.213
0.537 0.213 0.787
0.760 0.154 0.315
0.963 0.684 0.100
0.314 0.974 0.368
0.963 0.713 0.787
0.260 0.346 0.685
0.740 0.654 0.315
0.500 0.500 0.500
0.463 0.787 0.213
0.814 0.526 0.632
0.448 0.569 0.765
0.240 0.846 0.685
0.694 0.081 0.514
0.896 0.594 0.664
0.806 0.581 0.514
0.306 0.919 0.486
0.194 0.419 0.486
0.104 0.406 0.336
0.396 0.906 0.336
0.604 0.094 0.664
0.191 0.792 0.197
0.309 0.292 0.197
0.809 0.208 0.803
0.691 0.708 0.803
0.059 0.905 0.685
0.941 0.095 0.315
0.839 0.803 0.160
0.161 0.197 0.840
0.441 0.405 0.685
0.559 0.595 0.315
0.661 0.303 0.160
0.339 0.697 0.840
0.500 0.000 0.000
0.000 0.500 0.000
```

## Properties
Space-group type = P2_1/c (14)
Final energy = -330.4 eV per cell
Formation enthalpy at 0 K = -2.67 eV per atom

---

A plane-wave DFT calculation with PBE-GGA was carried out for a relaxed structure of NaTi2SiH4O9.

Geometry as POSCAR:
```
NaTi2SiH4O9
1.0
7.966 0.000 0.000
0.000 7.966 0.000
0.000 0.000 12.328
H O Ti Si Na
16 36 8 4 4
direct
0.599 0.599 0.030
0.212 0.788 0.063
0.212 0.212 0.563
0.401 0.599 0.470
0.401 0.599 0.530
0.599 0.401 0.530
0.212 0.788 0.937
0.212 0.212 0.437
0.788 0.788 0.437
0.599 0.599 0.970
0.788 0.788 0.563
0.401 0.401 0.970
0.788 0.212 0.937
0.401 0.401 0.030
0.599 0.401 0.470
0.788 0.212 0.063
0.140 0.860 0.500
0.265 0.265 0.500
0.887 0.621 0.830
0.887 0.379 0.670
0.735 0.735 0.500
0.265 0.735 0.000
0.621 0.887 0.830
0.896 0.896 0.327
0.896 0.104 0.827
0.500 0.500 0.800
0.621 0.113 0.330
0.379 0.887 0.330
0.896 0.104 0.173
0.104 0.104 0.327
0.104 0.104 0.673
0.621 0.113 0.670
0.379 0.113 0.170
0.379 0.113 0.830
0.887 0.379 0.330
0.500 0.500 0.300
0.113 0.621 0.670
0.500 0.500 0.200
0.104 0.896 0.173
0.140 0.140 0.000
0.896 0.896 0.673
0.887 0.621 0.170
0.379 0.887 0.670
0.104 0.896 0.827
0.113 0.379 0.830
0.500 0.500 0.700
0.113 0.379 0.170
0.860 0.860 0.000
0.621 0.887 0.170
0.735 0.265 0.000
0.860 0.140 0.500
0.113 0.621 0.330
0.147 0.147 0.150
0.147 0.853 0.350
0.147 0.147 0.850
0.853 0.147 0.350
0.147 0.853 0.650
0.853 0.853 0.150
0.853 0.147 0.650
0.853 0.853 0.850
0.000 0.500 0.250
0.500 0.000 0.250
0.500 0.000 0.750
0.000 0.500 0.750
0.000 0.500 0.500
0.500 0.000 0.000
0.500 0.000 0.500
0.000 0.500 0.000
```

## Properties
Space-group type = P4_2/mcm (132)
Final energy = -445.7 eV per cell
Formation enthalpy at 0 K = -2.18 eV per atom

---

A plane-wave DFT calculation with PBE-GGA was carried out for a relaxed structure of Na2TiSi4H4O13.

Geometry as POSCAR:
```
Na2TiSi4H4O13
1.0
-3.954 -0.643 6.257
2.494 -6.946 0.862
8.445 3.743 5.722
Na O H Ti Si
4 26 8 2 8
direct
0.500 0.500 0.170
0.000 0.000 0.170
0.000 0.000 0.830
0.500 0.500 0.830
0.248 0.035 0.326
0.716 0.716 0.500
0.647 0.353 0.000
0.227 0.382 0.263
0.147 0.147 0.000
0.965 0.752 0.674
0.752 0.965 0.326
0.535 0.252 0.326
0.273 0.882 0.737
0.773 0.618 0.263
0.118 0.727 0.263
0.216 0.784 0.500
0.618 0.773 0.737
0.252 0.535 0.674
0.748 0.465 0.674
0.500 0.000 0.943
0.882 0.273 0.263
0.382 0.227 0.737
0.000 0.500 0.057
0.465 0.748 0.326
0.784 0.216 0.500
0.353 0.647 0.000
0.727 0.118 0.737
0.853 0.853 0.000
0.035 0.248 0.674
0.284 0.284 0.500
0.624 0.223 0.990
0.723 0.876 0.990
0.124 0.277 0.010
0.376 0.777 0.990
0.777 0.376 0.010
0.223 0.624 0.010
0.876 0.723 0.010
0.277 0.124 0.990
0.000 0.500 0.218
0.500 0.000 0.782
0.260 0.818 0.356
0.818 0.260 0.644
0.740 0.182 0.356
0.318 0.240 0.356
0.760 0.682 0.644
0.240 0.318 0.644
0.182 0.740 0.644
0.682 0.760 0.356
```

## Properties
Space-group type = P42_12 (90)
Final energy = -330.4 eV per cell
Formation enthalpy at 0 K = -2.67 eV per atom

---

A plane-wave DFT calculation with PBE-GGA was carried out for a relaxed structure of Na3YSi3H6O12.

Geometry as POSCAR:
```
Na3YSi3H6O12
1.0
-6.091 -2.110 -2.805
4.939 0.077 -10.783
3.723 -12.893 1.613
H O Na Si Y
24 48 12 12 4
direct
0.124 0.146 0.471
0.474 0.834 0.218
0.026 0.166 0.718
0.974 0.666 0.782
0.483 0.020 0.055
0.039 0.237 0.544
0.517 0.520 0.445
0.961 0.737 0.956
0.597 0.721 0.203
0.903 0.279 0.703
0.876 0.646 0.029
0.032 0.474 0.828
0.532 0.026 0.172
0.968 0.974 0.672
0.403 0.221 0.297
0.539 0.263 0.456
0.461 0.763 0.044
0.376 0.854 0.971
0.983 0.480 0.945
0.526 0.334 0.282
0.097 0.779 0.797
0.017 0.980 0.555
0.468 0.526 0.328
0.624 0.354 0.529
0.601 0.557 0.863
0.584 0.042 0.104
0.565 0.276 0.527
0.918 0.988 0.969
0.899 0.443 0.363
0.333 0.470 0.678
0.401 0.847 0.558
0.698 0.489 0.532
0.418 0.512 0.031
0.082 0.488 0.531
0.065 0.224 0.473
0.667 0.970 0.822
0.302 0.989 0.968
0.288 0.326 0.115
0.532 0.455 0.215
0.991 0.733 0.827
0.420 0.199 0.826
0.032 0.045 0.785
0.788 0.174 0.885
0.192 0.171 0.255
0.712 0.826 0.385
0.212 0.674 0.615
0.916 0.958 0.604
0.308 0.829 0.755
0.580 0.699 0.674
0.509 0.267 0.327
0.808 0.671 0.245
0.416 0.542 0.396
0.084 0.458 0.896
0.968 0.545 0.715
0.920 0.301 0.174
0.935 0.724 0.027
0.692 0.329 0.745
0.099 0.153 0.058
0.198 0.011 0.468
0.009 0.233 0.673
0.399 0.057 0.637
0.599 0.347 0.942
0.435 0.776 0.973
0.491 0.767 0.173
0.582 0.012 0.469
0.833 0.030 0.322
0.167 0.530 0.178
0.802 0.511 0.032
0.080 0.801 0.326
0.901 0.653 0.442
0.468 0.955 0.285
0.101 0.943 0.137
0.227 0.288 0.939
0.652 0.771 0.837
0.848 0.229 0.337
0.727 0.212 0.061
0.348 0.271 0.663
0.221 0.378 0.402
0.779 0.878 0.098
0.721 0.122 0.598
0.152 0.729 0.163
0.279 0.622 0.902
0.773 0.788 0.561
0.273 0.712 0.439
0.886 0.514 0.465
0.877 0.738 0.343
0.623 0.262 0.843
0.849 0.040 0.860
0.386 0.986 0.535
0.123 0.238 0.157
0.614 0.486 0.965
0.349 0.460 0.140
0.114 0.014 0.035
0.151 0.540 0.640
0.651 0.960 0.360
0.377 0.762 0.657
0.644 0.513 0.701
0.144 0.987 0.299
0.356 0.013 0.799
0.856 0.487 0.201
```

## Properties
Space-group type = P2_12_12_1 (19)
Final energy = -637.9 eV per cell
Formation enthalpy at 0 K = -2.45 eV per atom

---

A plane-wave DFT calculation with PBE-GGA was carried out for a relaxed structure of NaZnSiHO4.

Geometry as POSCAR:
```
NaZnSiHO4
1.0
5.225 0.000 0.000
0.000 7.761 0.000
0.000 0.000 9.496
O Na Si H Zn
16 4 4 4 4
direct
0.634 0.668 0.430
0.923 0.460 0.674
0.823 0.019 0.149
0.177 0.519 0.351
0.323 0.481 0.851
0.423 0.040 0.326
0.108 0.167 0.593
0.392 0.833 0.093
0.892 0.667 0.907
0.577 0.540 0.174
0.608 0.333 0.407
0.134 0.832 0.570
0.077 0.960 0.826
0.677 0.981 0.649
0.366 0.168 0.070
0.866 0.332 0.930
0.976 0.705 0.166
0.476 0.795 0.834
0.524 0.295 0.666
0.024 0.205 0.334
0.489 0.515 0.339
0.511 0.015 0.161
0.989 0.985 0.661
0.011 0.485 0.839
0.026 0.280 0.625
0.974 0.780 0.875
0.526 0.220 0.375
0.474 0.720 0.125
0.978 0.611 0.511
0.022 0.111 0.989
0.478 0.889 0.489
0.522 0.389 0.011
```

## Properties
Space-group type = P2_12_12_1 (19)
Final energy = -188.7 eV per cell
Formation enthalpy at 0 K = -2.34 eV per atom
Piezoelectric modulus e_max = 0.2 C/m²

---

A plane-wave DFT calculation with PBE-GGA was carried out for a relaxed structure of Na2ZrSi4H4O13.

Geometry as POSCAR:
```
Na2ZrSi4H4O13
1.0
8.932 0.000 0.000
0.000 7.658 0.000
0.000 3.587 8.511
O H Na Si Zr
26 8 4 8 2
direct
0.534 0.816 0.884
0.685 0.970 0.373
0.185 0.530 0.627
0.767 0.566 0.973
0.466 0.184 0.116
0.236 0.155 0.316
0.736 0.345 0.684
0.733 0.066 0.973
0.055 0.922 0.249
0.500 0.500 0.500
0.315 0.030 0.627
0.233 0.434 0.027
0.458 0.230 0.783
0.000 0.000 0.500
0.264 0.655 0.316
0.945 0.078 0.751
0.815 0.470 0.373
0.445 0.422 0.249
0.555 0.578 0.751
0.966 0.316 0.884
0.042 0.730 0.783
0.958 0.270 0.217
0.034 0.684 0.116
0.764 0.845 0.684
0.542 0.770 0.217
0.267 0.934 0.027
0.899 0.403 0.350
0.399 0.097 0.650
0.302 0.081 0.512
0.101 0.597 0.650
0.698 0.919 0.488
0.198 0.581 0.512
0.601 0.903 0.350
0.802 0.419 0.488
0.312 0.711 0.791
0.688 0.289 0.209
0.812 0.789 0.209
0.188 0.211 0.791
0.658 0.699 0.831
0.441 0.589 0.319
0.158 0.801 0.169
0.059 0.089 0.319
0.559 0.411 0.681
0.941 0.911 0.681
0.842 0.199 0.831
0.342 0.301 0.169
0.500 0.000 0.000
0.000 0.500 0.000
```

## Properties
Space-group type = P2_1/c (14)
Final energy = -334.1 eV per cell
Formation enthalpy at 0 K = -2.72 eV per atom